[1]
A plane-wave DFT calculation with GGA-PBE was carried out for crystalline TaI5 at its relaxed geometry.

a = 15.082 Å, b = 20.917 Å, c = 7.125 Å
α = 90.00°, β = 90.00°, γ = 90.00°
Element x y z (fractional)
Ta 0.126 0.141 0.002
Ta 0.126 0.359 0.002
Ta 0.374 0.641 0.502
Ta 0.374 0.859 0.502
Ta 0.626 0.141 0.498
Ta 0.626 0.359 0.498
Ta 0.874 0.641 0.998
Ta 0.874 0.859 0.998
I 0.022 0.651 0.219
I 0.022 0.849 0.219
I 0.045 0.063 0.242
I 0.045 0.437 0.242
I 0.054 0.250 0.216
I 0.197 0.250 0.789
I 0.205 0.062 0.762
I 0.205 0.438 0.762
I 0.227 0.651 0.723
I 0.227 0.849 0.723
I 0.273 0.151 0.223
I 0.273 0.349 0.223
I 0.295 0.562 0.262
I 0.295 0.938 0.262
I 0.303 0.750 0.289
I 0.446 0.750 0.716
I 0.455 0.563 0.742
I 0.455 0.937 0.742
I 0.478 0.151 0.719
I 0.478 0.349 0.719
I 0.522 0.651 0.281
I 0.522 0.849 0.281
I 0.545 0.063 0.258
I 0.545 0.437 0.258
I 0.554 0.250 0.284
I 0.697 0.250 0.711
I 0.705 0.062 0.738
I 0.705 0.438 0.738
I 0.727 0.651 0.777
I 0.727 0.849 0.777
I 0.773 0.151 0.277
I 0.773 0.349 0.277
I 0.795 0.562 0.238
I 0.795 0.938 0.238
I 0.803 0.750 0.211
I 0.946 0.750 0.784
I 0.955 0.563 0.758
I 0.955 0.937 0.758
I 0.978 0.151 0.781
I 0.978 0.349 0.781

Results
- total energy (eV per atom) = -3.701
- corrected total energy (MP2020 scheme) (eV per atom) = -4.017
- formation enthalpy at 0 K (kcal/mol of atoms) = -17.76


[2]
A plane-wave DFT calculation with GGA-PBE was carried out for crystalline Sm3Ag at its relaxed geometry.

a = 7.015 Å, b = 7.015 Å, c = 5.426 Å
α = 90.00°, β = 90.00°, γ = 120.00°
Element x y z (fractional)
Sm 0.174 0.348 0.250
Sm 0.174 0.826 0.250
Sm 0.348 0.174 0.750
Sm 0.652 0.826 0.250
Sm 0.826 0.174 0.750
Sm 0.826 0.652 0.750
Ag 0.333 0.667 0.750
Ag 0.667 0.333 0.250

Results
- total energy (eV per atom) = -4.229
- formation enthalpy at 0 K (kcal/mol of atoms) = 0.43


[3]
A plane-wave DFT calculation with GGA-PBE was carried out for crystalline LiAcRh2 at its relaxed geometry.

a = 6.724 Å, b = 6.724 Å, c = 6.724 Å
α = 90.00°, β = 90.00°, γ = 90.00°
Element x y z (fractional)
Li 0.000 0.000 0.000
Li 0.000 0.500 0.500
Li 0.500 0.000 0.500
Li 0.500 0.500 0.000
Ac 0.000 0.000 0.500
Ac 0.000 0.500 0.000
Ac 0.500 0.000 0.000
Ac 0.500 0.500 0.500
Rh 0.250 0.250 0.250
Rh 0.250 0.250 0.750
Rh 0.250 0.750 0.250
Rh 0.250 0.750 0.750
Rh 0.750 0.250 0.250
Rh 0.750 0.250 0.750
Rh 0.750 0.750 0.250
Rh 0.750 0.750 0.750

Results
- total energy (eV per atom) = -5.551
- formation enthalpy at 0 K (kcal/mol of atoms) = -8.34